Record 1
VASP calculation (meta-GGA r2SCAN) on a relaxed Er2Ni12P7 crystal.

Unit cell a=8.9535 b=8.9541 c=3.6512 alpha=90.00 beta=90.00 gamma=120.00
Sites, in units of the cell vectors:
Er 0.0000 0.0000 0.0000
Er 0.3333 0.6666 0.5000
Ni 0.1015 0.3954 0.0000
Ni 0.2941 0.8986 0.0000
Ni 0.6046 0.7061 0.0000
Ni 0.8181 0.6081 0.0000
Ni 0.7900 0.1818 0.0000
Ni 0.3920 0.2101 0.0000
Ni 0.0476 0.7646 0.5000
Ni 0.7170 0.9524 0.5000
Ni 0.2354 0.2830 0.5000
Ni 0.8820 0.4276 0.5000
Ni 0.5455 0.1176 0.5000
Ni 0.5722 0.4545 0.5000
P 0.0743 0.6284 0.0000
P 0.5540 0.9258 0.0000
P 0.3717 0.4460 0.0000
P 0.7769 0.7387 0.5000
P 0.9618 0.2231 0.5000
P 0.2613 0.0383 0.5000
P 0.6667 0.3334 0.0000

Computed properties:
- formation energy (meV per atom) = -800
- final energy (eV/atom) = -13.88

=====

Record 2
VASP calculation (meta-GGA r2SCAN) on a relaxed Er2NiRu crystal.

Unit cell a=4.7188 b=4.7188 c=4.7188 alpha=60.00 beta=60.00 gamma=60.00
Sites, in units of the cell vectors:
Er 0.0000 0.0000 0.0000
Er 0.5000 0.5000 0.5000
Ni 0.2500 0.2500 0.2500
Ru 0.7500 0.7500 0.7500

Computed properties:
- formation energy (meV per atom) = -463
- final energy (eV/atom) = -26.78

=====

Record 3
VASP calculation (meta-GGA r2SCAN) on a relaxed ErNiSb crystal.

Unit cell a=4.4322 b=4.4322 c=4.4322 alpha=60.00 beta=60.00 gamma=60.00
Sites, in units of the cell vectors:
Er 0.5000 0.5000 0.5000
Ni 0.2500 0.2500 0.2500
Sb 0.0000 0.0000 0.0000

Computed properties:
- formation energy (meV per atom) = -998
- final energy (eV/atom) = -24.87

=====

Record 4
VASP calculation (meta-GGA r2SCAN) on a relaxed Er10NiSb5 crystal.

Unit cell a=7.8901 b=9.0701 c=11.8117 alpha=90.00 beta=90.00 gamma=90.00
Sites, in units of the cell vectors:
Er 0.4348 0.1830 0.5663
Er 0.5652 0.8169 0.0663
Er 0.0687 0.7224 0.4333
Er 0.9313 0.2776 0.9333
Er 0.0687 0.2776 0.4333
Er 0.9313 0.7224 0.9333
Er 0.4348 0.8169 0.5663
Er 0.5652 0.1831 0.0663
Er 0.5771 0.5000 0.7745
Er 0.4229 0.5000 0.2745
Er 0.9076 0.0000 0.2039
Er 0.0924 0.0000 0.7039
Er 0.2683 0.5000 0.9951
Er 0.7318 0.5000 0.4951
Er 0.2012 0.0000 0.9991
Er 0.7988 0.0000 0.4991
Er 0.0937 0.5000 0.7139
Er 0.9063 0.5000 0.2139
Er 0.3773 0.0000 0.3050
Er 0.6227 0.0000 0.8050
Ni 0.1735 0.0000 0.4876
Ni 0.8265 0.0000 0.9876
Sb 0.8154 0.7413 0.6720
Sb 0.1846 0.2587 0.1721
Sb 0.6832 0.2418 0.3263
Sb 0.3168 0.7582 0.8263
Sb 0.6832 0.7582 0.3263
Sb 0.3168 0.2418 0.8263
Sb 0.8154 0.2587 0.6721
Sb 0.1846 0.7413 0.1721
Sb 0.3428 0.5000 0.5249
Sb 0.6572 0.5000 0.0248

Computed properties:
- formation energy (meV per atom) = -921
- final energy (eV/atom) = -30.91

=====

Record 5
VASP calculation (meta-GGA r2SCAN) on a relaxed Er5Ni2Sb crystal.

Unit cell a=8.4692 b=8.4691 c=8.4687 alpha=127.28 beta=127.28 gamma=77.79
Sites, in units of the cell vectors:
Er 0.0000 0.0000 0.0000
Er 0.5000 0.5000 0.0000
Er 0.7924 0.2924 0.8130
Er 0.2076 0.7076 0.1869
Er 0.4794 0.9794 0.1870
Er 0.2923 0.4794 0.5000
Er 0.0206 0.2077 0.5000
Er 0.5206 0.0206 0.8130
Er 0.7077 0.5206 0.5000
Er 0.9794 0.7923 0.5000
Ni 0.1309 0.6309 0.7617
Ni 0.8691 0.3691 0.2383
Ni 0.6308 0.8691 0.5000
Ni 0.3691 0.1308 0.5000
Sb 0.2500 0.2500 0.0000
Sb 0.7500 0.7500 0.0001

Computed properties:
- formation energy (meV per atom) = -585
- final energy (eV/atom) = -28.00

=====

Record 6
VASP calculation (meta-GGA r2SCAN) on a relaxed ErSi2Ni10 crystal.

Unit cell a=8.0668 b=8.0668 c=4.6260 alpha=90.00 beta=90.00 gamma=90.00
Sites, in units of the cell vectors:
Er 0.5000 0.0000 0.7791
Er 0.0000 0.5000 0.2209
Si 0.7500 0.7500 0.5000
Si 0.2500 0.2500 0.5000
Si 0.7500 0.2500 0.5000
Si 0.2500 0.7500 0.5000
Ni 0.2500 0.2500 0.0000
Ni 0.2500 0.7500 0.0000
Ni 0.5000 0.2229 0.2706
Ni 0.7500 0.7500 0.0000
Ni 0.7500 0.2500 0.0000
Ni 0.5000 0.7771 0.2706
Ni 0.3525 0.5000 0.2392
Ni 0.0000 0.1475 0.2392
Ni 0.0000 0.8525 0.2392
Ni 0.6475 0.5000 0.2392
Ni 0.1475 0.0000 0.7608
Ni 0.8525 0.0000 0.7608
Ni 0.5000 0.3525 0.7608
Ni 0.5000 0.6475 0.7608
Ni 0.7771 0.5000 0.7294
Ni 0.0000 0.7229 0.7294
Ni 0.0000 0.2771 0.7294
Ni 0.2229 0.5000 0.7294
Ni 0.7229 0.0000 0.2706
Ni 0.2771 0.0000 0.2706

Computed properties:
- formation energy (meV per atom) = -421
- final energy (eV/atom) = -13.60